Record 1
A geometry-optimized SrCaTiMnO6 structure, computed with PBE+U.

Results
Energy with MP2020 corrections ... -8.0493 eV per atom
V ... 462.6 Å³ per cell

abc: 5.470 9.457 9.453
angles: 108.90 90.00 90.00
Positions (direct):
1 Mn 0.000 0.250 0.748
2 Mn 0.500 0.002 0.500
3 Mn 0.500 0.502 0.000
4 Mn 0.000 0.750 0.248
5 O 0.000 0.338 0.591
6 O 0.750 0.107 0.142
7 O 0.250 0.111 0.640
8 O 0.000 0.838 0.092
9 O 0.000 0.154 0.897
10 O 0.750 0.399 0.853
11 O 0.500 0.852 0.596
12 O 0.250 0.387 0.361
13 O 0.250 0.107 0.142
14 O 0.750 0.899 0.353
15 O 0.749 0.111 0.640
16 O 0.500 0.158 0.412
17 O 0.750 0.887 0.861
18 O 0.000 0.654 0.398
19 O 0.250 0.899 0.353
20 O 0.500 0.352 0.096
21 O 0.250 0.606 0.643
22 O 0.250 0.887 0.861
23 O 0.750 0.607 0.642
24 O 0.250 0.611 0.140
25 O 0.250 0.399 0.853
26 O 0.750 0.387 0.361
27 O 0.750 0.611 0.140
28 O 0.500 0.659 0.912
29 Sr 0.000 0.378 0.126
30 Sr 0.500 0.124 0.872
31 Sr 0.500 0.624 0.372
32 Sr 0.000 0.878 0.626
33 Ca 0.500 0.875 0.132
34 Ca 0.000 0.119 0.374
35 Ca 0.500 0.375 0.632
36 Ca 0.000 0.619 0.874
37 Ti 0.500 0.748 0.755
38 Ti 0.000 0.995 0.002
39 Ti 0.500 0.248 0.255
40 Ti 0.000 0.495 0.502



Record 2
A geometry-optimized SrCa7Ti2Mn6O20 structure, computed with PBE+U.

Results
Energy with MP2020 corrections ... -7.9463 eV per atom
V ... 1962.8 Å³ per cell

abc: 11.115 11.218 15.753
angles: 90.01 90.39 91.99
Positions (direct):
1 Sr 0.000 0.000 0.000
2 Sr 0.011 0.006 0.271
3 Sr 0.251 0.721 0.271
4 Sr 0.731 0.240 0.014
5 Ca 0.013 0.498 0.276
6 Ca 0.017 0.999 0.769
7 Ca 0.018 0.498 0.769
8 Ca 0.256 0.726 0.771
9 Ca 0.257 0.222 0.771
10 Ca 0.262 0.219 0.273
11 Ca 0.281 0.235 0.999
12 Ca 0.284 0.735 0.001
13 Ca 0.291 0.237 0.514
14 Ca 0.293 0.737 0.513
15 Ca 0.458 0.481 0.770
16 Ca 0.461 0.984 0.770
17 Ca 0.474 0.487 0.265
18 Ca 0.481 0.990 0.263
19 Ca 0.486 0.978 0.006
20 Ca 0.490 0.480 0.010
21 Ca 0.511 0.994 0.527
22 Ca 0.512 0.495 0.525
23 Ca 0.690 0.256 0.762
24 Ca 0.690 0.757 0.762
25 Ca 0.693 0.258 0.265
26 Ca 0.695 0.759 0.264
27 Ca 0.718 0.258 0.520
28 Ca 0.718 0.759 0.520
29 Ca 0.727 0.738 0.017
30 Ca 0.995 0.471 0.507
31 Ca 0.999 0.509 0.995
32 Ca 0.999 0.969 0.506
33 Ti 0.004 0.715 0.417
34 Ti 0.005 0.221 0.416
35 Ti 0.247 0.465 0.135
36 Ti 0.256 0.967 0.135
37 Ti 0.258 0.478 0.399
38 Ti 0.263 0.982 0.398
39 Ti 0.974 0.781 0.151
40 Ti 0.980 0.296 0.154
41 Mn 0.009 0.228 0.870
42 Mn 0.010 0.725 0.871
43 Mn 0.241 0.484 0.893
44 Mn 0.242 0.984 0.891
45 Mn 0.243 0.478 0.635
46 Mn 0.243 0.977 0.634
47 Mn 0.484 0.238 0.642
48 Mn 0.485 0.736 0.642
49 Mn 0.490 0.237 0.141
50 Mn 0.493 0.238 0.887
51 Mn 0.494 0.733 0.142
52 Mn 0.496 0.737 0.888
53 Mn 0.499 0.250 0.390
54 Mn 0.502 0.749 0.389
55 Mn 0.734 0.490 0.647
56 Mn 0.734 0.981 0.134
57 Mn 0.735 0.991 0.647
58 Mn 0.736 0.000 0.892
59 Mn 0.738 0.484 0.138
60 Mn 0.739 0.016 0.399
61 Mn 0.739 0.513 0.398
62 Mn 0.741 0.503 0.894
63 Mn 0.967 0.785 0.654
64 Mn 0.969 0.286 0.653
65 O 0.036 0.688 0.230
66 O 0.044 0.699 0.747
67 O 0.046 0.200 0.746
68 O 0.050 0.372 0.386
69 O 0.050 0.865 0.383
70 O 0.059 0.212 0.232
71 O 0.068 0.440 0.136
72 O 0.071 0.441 0.637
73 O 0.071 0.939 0.637
74 O 0.081 0.387 0.885
75 O 0.082 0.912 0.140
76 O 0.084 0.882 0.880
77 O 0.137 0.126 0.421
78 O 0.138 0.627 0.426
79 O 0.144 0.126 0.912
80 O 0.145 0.626 0.918
81 O 0.226 0.938 0.511
82 O 0.227 0.436 0.512
83 O 0.229 0.501 0.275
84 O 0.240 0.009 0.272
85 O 0.242 0.439 0.021
86 O 0.243 0.945 0.021
87 O 0.245 0.516 0.755
88 O 0.246 0.012 0.754
89 O 0.321 0.331 0.160
90 O 0.334 0.821 0.650
91 O 0.335 0.322 0.651
92 O 0.337 0.839 0.157
93 O 0.343 0.337 0.379
94 O 0.348 0.843 0.380
95 O 0.349 0.345 0.875
96 O 0.352 0.843 0.878
97 O 0.365 0.590 0.127
98 O 0.375 0.091 0.123
99 O 0.381 0.092 0.609
100 O 0.383 0.592 0.609
101 O 0.385 0.581 0.413
102 O 0.387 0.084 0.416
103 O 0.387 0.093 0.907
104 O 0.390 0.592 0.910
105 O 0.481 0.199 0.760
106 O 0.481 0.697 0.762
107 O 0.482 0.202 0.267
108 O 0.487 0.698 0.267
109 O 0.493 0.272 0.018
110 O 0.499 0.768 0.018
111 O 0.501 0.285 0.514
112 O 0.502 0.783 0.513
113 O 0.582 0.385 0.664
114 O 0.582 0.885 0.663
115 O 0.584 0.386 0.161
116 O 0.587 0.883 0.162
117 O 0.604 0.885 0.864
118 O 0.608 0.385 0.868
119 O 0.611 0.403 0.357
120 O 0.616 0.902 0.355
121 O 0.636 0.139 0.890
122 O 0.644 0.162 0.401
123 O 0.645 0.647 0.895
124 O 0.647 0.145 0.631
125 O 0.648 0.645 0.632
126 O 0.649 0.662 0.401
127 O 0.667 0.140 0.145
128 O 0.668 0.643 0.140
129 O 0.774 0.943 0.009
130 O 0.776 0.458 0.521
131 O 0.781 0.959 0.521
132 O 0.786 0.456 0.013
133 O 0.841 0.385 0.717
134 O 0.841 0.887 0.719
135 O 0.850 0.869 0.199
136 O 0.852 0.372 0.207
137 O 0.884 0.097 0.876
138 O 0.889 0.119 0.370
139 O 0.893 0.591 0.875
140 O 0.896 0.602 0.373
141 O 0.941 0.711 0.050
142 O 0.945 0.741 0.524
143 O 0.948 0.243 0.524
144 O 0.949 0.211 0.059



Record 3
A geometry-optimized SrCa7TiMn7O20 structure, computed with PBE+U.

Results
Energy with MP2020 corrections ... -7.8814 eV per atom
V ... 1874.8 Å³ per cell

abc: 10.904 11.162 17.253
angles: 108.80 108.30 90.14
Positions (direct):
1 Sr 0.000 0.000 0.000
2 Sr 0.115 0.098 0.723
3 Sr 0.611 0.095 0.722
4 Sr 0.863 0.360 0.722
5 Ca 0.002 0.004 0.504
6 Ca 0.003 0.503 0.504
7 Ca 0.106 0.592 0.225
8 Ca 0.110 0.096 0.223
9 Ca 0.110 0.593 0.719
10 Ca 0.248 0.231 0.004
11 Ca 0.250 0.736 0.001
12 Ca 0.253 0.233 0.505
13 Ca 0.254 0.733 0.503
14 Ca 0.358 0.361 0.224
15 Ca 0.359 0.363 0.718
16 Ca 0.359 0.860 0.717
17 Ca 0.361 0.867 0.225
18 Ca 0.501 0.002 0.503
19 Ca 0.502 0.003 0.001
20 Ca 0.502 0.503 0.504
21 Ca 0.502 0.504 0.002
22 Ca 0.609 0.594 0.719
23 Ca 0.611 0.094 0.224
24 Ca 0.614 0.593 0.223
25 Ca 0.747 0.734 0.001
26 Ca 0.750 0.732 0.503
27 Ca 0.753 0.233 0.504
28 Ca 0.753 0.235 0.005
29 Ca 0.858 0.858 0.715
30 Ca 0.859 0.865 0.224
31 Ca 0.864 0.364 0.223
32 Ca 0.995 0.501 0.003
33 Ti 0.059 0.799 0.114
34 Ti 0.309 0.549 0.114
35 Ti 0.559 0.298 0.112
36 Ti 0.560 0.799 0.113
37 Mn 0.059 0.796 0.610
38 Mn 0.060 0.299 0.610
39 Mn 0.060 0.300 0.114
40 Mn 0.162 0.891 0.858
41 Mn 0.163 0.893 0.363
42 Mn 0.166 0.394 0.364
43 Mn 0.169 0.400 0.866
44 Mn 0.309 0.047 0.610
45 Mn 0.310 0.548 0.611
46 Mn 0.311 0.048 0.113
47 Mn 0.411 0.702 0.362
48 Mn 0.412 0.201 0.364
49 Mn 0.414 0.702 0.861
50 Mn 0.416 0.203 0.863
51 Mn 0.557 0.298 0.610
52 Mn 0.559 0.794 0.609
53 Mn 0.656 0.891 0.859
54 Mn 0.660 0.397 0.861
55 Mn 0.663 0.892 0.362
56 Mn 0.665 0.393 0.363
57 Mn 0.808 0.046 0.608
58 Mn 0.808 0.549 0.113
59 Mn 0.809 0.049 0.114
60 Mn 0.810 0.548 0.610
61 Mn 0.912 0.203 0.364
62 Mn 0.913 0.703 0.365
63 Mn 0.915 0.702 0.860
64 Mn 0.917 0.202 0.864
65 O 0.000 0.207 0.479
66 O 0.002 0.212 0.983
67 O 0.007 0.705 0.985
68 O 0.132 0.390 0.741
69 O 0.132 0.893 0.240
70 O 0.133 0.392 0.242
71 O 0.134 0.882 0.742
72 O 0.175 0.915 0.596
73 O 0.176 0.418 0.597
74 O 0.178 0.420 0.098
75 O 0.181 0.915 0.101
76 O 0.189 0.179 0.620
77 O 0.190 0.676 0.624
78 O 0.193 0.679 0.129
79 O 0.194 0.174 0.126
80 O 0.221 0.717 0.361
81 O 0.225 0.725 0.862
82 O 0.229 0.217 0.362
83 O 0.233 0.230 0.871
84 O 0.246 0.003 0.972
85 O 0.253 0.013 0.483
86 O 0.253 0.514 0.484
87 O 0.261 0.522 0.987
88 O 0.375 0.082 0.739
89 O 0.382 0.582 0.739
90 O 0.387 0.578 0.239
91 O 0.389 0.090 0.251
92 O 0.426 0.415 0.597
93 O 0.426 0.912 0.597
94 O 0.427 0.413 0.096
95 O 0.428 0.915 0.099
96 O 0.436 0.183 0.622
97 O 0.440 0.181 0.125
98 O 0.441 0.680 0.626
99 O 0.443 0.685 0.129
100 O 0.473 0.877 0.362
101 O 0.474 0.880 0.860
102 O 0.475 0.367 0.362
103 O 0.480 0.379 0.861
104 O 0.497 0.207 0.479
105 O 0.503 0.701 0.482
106 O 0.506 0.703 0.985
107 O 0.511 0.203 0.986
108 O 0.627 0.387 0.743
109 O 0.630 0.881 0.743
110 O 0.632 0.392 0.239
111 O 0.635 0.894 0.240
112 O 0.675 0.418 0.597
113 O 0.676 0.418 0.098
114 O 0.676 0.918 0.097
115 O 0.677 0.915 0.598
116 O 0.684 0.175 0.617
117 O 0.690 0.678 0.625
118 O 0.692 0.681 0.127
119 O 0.694 0.178 0.129
120 O 0.725 0.728 0.863
121 O 0.729 0.716 0.362
122 O 0.730 0.217 0.363
123 O 0.734 0.237 0.870
124 O 0.741 0.006 0.972
125 O 0.746 0.512 0.974
126 O 0.753 0.010 0.481
127 O 0.754 0.514 0.483
128 O 0.875 0.092 0.744
129 O 0.881 0.587 0.739
130 O 0.884 0.590 0.252
131 O 0.888 0.088 0.252
132 O 0.924 0.422 0.101
133 O 0.924 0.914 0.102
134 O 0.926 0.912 0.599
135 O 0.927 0.415 0.596
136 O 0.938 0.178 0.619
137 O 0.939 0.182 0.126
138 O 0.941 0.680 0.624
139 O 0.941 0.681 0.126
140 O 0.973 0.869 0.362
141 O 0.975 0.368 0.362
142 O 0.978 0.874 0.854
143 O 0.985 0.371 0.869
144 O 0.999 0.705 0.480



no.,ΔH_f (0 K) (kJ/mol of formula units),energy (eV for the cell shown),total magnetic moment (μB per formula unit)
1,-2900,-298.8,0.0
2,-9708,-1049.3,26.0
3,-9360,-1033.3,28.9